(1)
VASP calculation (PBE) on a geometry-optimized Na18Ca16Ta8Si9S27O144 structure.

Calculated values
Symmetry   P1
E_form   -2.552 eV/atom

Cell: 9.1836 15.8581 23.3898 Å, 89.74 89.95 89.94°
Closest atoms and distances in Å follow each position.
Fractional positions:
Na (0.0000, 0.0000, 0.0000)  3 O 2.46-2.62
Na (0.0004, 0.3109, 0.1890)  2 O 2.38-2.43
Na (0.0002, 0.6595, 0.8446)  6 O 2.58-2.75
Na (0.0055, 0.6553, 0.3436)  6 O 2.58-2.68
Na (0.1159, 0.1542, 0.6047)  3 O 2.25-2.45
Na (0.1840, 0.8458, 0.6039)  4 O 2.23-2.46
Na (0.3170, 0.3454, 0.1006)  4 O 2.29-2.46
Na (0.3833, 0.6536, 0.0998)  5 O 2.29-2.56
Na (0.4927, 0.1591, 0.8399)  6 O 2.58-2.75
Na (0.4939, 0.8084, 0.1784)  3 O 2.38-2.61
Na (0.4987, 0.4978, 0.5094)  6 O 2.66-2.83
Na (0.4994, 0.8110, 0.6902)  2 O 2.37-2.42
Na (0.5019, 0.1623, 0.3458)  5 O 2.51-2.72
Na (0.5313, 0.5032, 0.0073)  2 O 2.33-2.58
Na (0.6871, 0.3368, 0.6041)  3 O 2.30-2.57
Na (0.8088, 0.8337, 0.0871)  3 O 2.33-2.56
Na (0.9704, 0.9995, 0.5168)  1 O 2.22
Na (0.9833, 0.3094, 0.6867)  3 O 2.39-2.49
Ca (0.0007, 0.3178, 0.8215)  6 O 2.15-2.33
Ca (0.0019, 0.9957, 0.1559)  3 O 2.06-2.27
Ca (0.4954, 0.8177, 0.3227)  6 O 2.14-2.36
Ca (0.4971, 0.8193, 0.8235)  6 O 2.17-2.31
Ca (0.5000, 0.4935, 0.6583)  3 O 2.09-2.25
Ca (0.5012, 0.1538, 0.9851)  6 O 2.24-2.30
Ca (0.5012, 0.8214, 0.0224)  6 O 2.34-2.53
Ca (0.5062, 0.4932, 0.1596)  6 O 2.16-2.40
Ca (0.5082, 0.1543, 0.4886)  3 O 2.06-2.26
Ca (0.5078, 0.8208, 0.5258)  6 O 2.37-2.51
Ca (0.9901, 0.3202, 0.0214)  6 O 2.33-2.52
Ca (0.9897, 0.6546, 0.9856)  5 O 2.08-2.31
Ca (0.9917, 0.3223, 0.5274)  6 O 2.25-2.52
Ca (0.9922, 0.9928, 0.6600)  4 O 2.14-2.23
Ca (0.9971, 0.6543, 0.4867)  6 O 2.20-2.33
Ca (0.9990, 0.3208, 0.3229)  6 O 2.18-2.31
Ta (0.0100, 0.9892, 0.8490)  2 O 1.85-1.87
Ta (0.4862, 0.4897, 0.3509)  3 O 1.87-2.02
Ta (0.5040, 0.1589, 0.2002)  3 O 1.87-2.00
Ta (0.5085, 0.4893, 0.8515)  3 O 1.86-2.05
Ta (0.5095, 0.1607, 0.6987)  4 O 1.88-2.08
Ta (0.9941, 0.6531, 0.1955)  5 O 1.88-2.09
Ta (0.9941, 0.6573, 0.7006)  3 O 1.86-2.04
Ta (0.9940, 0.9944, 0.3560)  3 O 1.85-1.99
Si (0.1498, 0.8405, 0.7507)  4 O 1.57-1.75
Si (0.1598, 0.1398, 0.7509)  3 O 1.58-1.68
Si (0.3418, 0.6411, 0.2514)  4 O 1.58-1.76
Si (0.3481, 0.3418, 0.2508)  4 O 1.57-1.75
Si (0.6483, 0.6400, 0.7542)  4 O 1.56-1.75
Si (0.6496, 0.3421, 0.7513)  4 O 1.57-1.76
Si (0.7004, 0.6570, 0.0912)  3 O 1.58-1.65
Si (0.7956, 0.1561, 0.5910)  4 O 1.59-1.76
Si (0.8474, 0.1389, 0.2542)  3 O 1.56-1.72
S (0.1369, 0.5106, 0.0944)  4 O 1.45-1.56
S (0.1420, 0.7969, 0.0948)  4 O 1.45-1.55
S (0.1476, 0.1654, 0.4218)  4 O 1.45-1.58
S (0.1611, 0.4737, 0.4208)  4 O 1.45-1.57
S (0.1907, 0.8295, 0.4225)  4 O 1.46-1.54
S (0.2072, 0.4957, 0.7580)  4 O 1.44-1.53
S (0.2170, 0.1586, 0.0936)  4 O 1.46-1.53
S (0.2825, 0.6577, 0.5929)  4 O 1.46-1.52
S (0.2918, 0.9947, 0.2578)  4 O 1.45-1.53
S (0.3074, 0.3315, 0.9246)  4 O 1.45-1.52
S (0.3340, 0.9734, 0.9213)  4 O 1.45-1.56
S (0.3527, 0.6630, 0.9236)  4 O 1.46-1.52
S (0.3538, 0.2981, 0.5937)  4 O 1.46-1.54
S (0.3580, 0.0095, 0.5931)  4 O 1.47-1.49
S (0.6393, 0.0104, 0.0946)  4 O 1.46-1.52
S (0.6445, 0.6645, 0.4206)  4 O 1.46-1.53
S (0.6463, 0.2958, 0.0944)  4 O 1.46-1.56
S (0.6597, 0.9721, 0.4187)  4 O 1.45-1.58
S (0.6874, 0.3316, 0.4217)  4 O 1.46-1.54
S (0.7044, 0.9957, 0.7597)  4 O 1.44-1.53
S (0.7942, 0.4966, 0.2593)  4 O 1.44-1.54
S (0.8105, 0.8325, 0.9231)  4 O 1.45-1.52
S (0.8360, 0.4723, 0.9200)  4 O 1.45-1.56
S (0.8530, 0.7959, 0.5944)  4 O 1.46-1.54
S (0.8551, 0.1634, 0.9217)  4 O 1.45-1.52
S (0.8570, 0.5121, 0.5935)  4 O 1.46-1.51
S (0.8629, 0.8404, 0.2566)  4 O 1.45-1.53
O (0.0607, 0.7444, 0.7479)  1 Si 1.73, 1 Ta 1.88
O (0.0641, 0.8951, 0.8062)  1 Si 1.75, 1 Ta 1.87
O (0.0657, 0.4272, 0.0950)  1 S 1.47
O (0.0700, 0.8793, 0.1008)  1 S 1.47
O (0.0735, 0.0770, 0.4105)  1 S 1.58
O (0.0804, 0.5598, 0.1473)  1 S 1.56
O (0.0859, 0.1944, 0.4760)  1 S 1.46
O (0.0898, 0.7571, 0.0429)  1 S 1.45
O (0.0900, 0.7573, 0.4253)  1 S 1.47
O (0.0940, 0.1029, 0.6939)  1 Si 1.58
O (0.0975, 0.9080, 0.4098)  1 S 1.54
O (0.0997, 0.4326, 0.3710)  1 S 1.45
O (0.1003, 0.7419, 0.1473)  1 S 1.55
O (0.1060, 0.4281, 0.7701)  1 S 1.45
O (0.1066, 0.0706, 0.8071)  1 Si 1.78, 1 Ta 1.85
O (0.1069, 0.5608, 0.0437)  1 S 1.45
O (0.1082, 0.5612, 0.4244)  1 S 1.47
O (0.1099, 0.2331, 0.7641)  1 Si 1.58
O (0.1115, 0.2183, 0.3733)  1 S 1.45
O (0.1141, 0.8837, 0.6917)  1 Si 1.57
O (0.1201, 0.5777, 0.7525)  1 S 1.53
O (0.1212, 0.0850, 0.0960)  1 S 1.46
O (0.1330, 0.2393, 0.0953)  1 S 1.49
O (0.1429, 0.4259, 0.4741)  1 S 1.46
O (0.1562, 0.6408, 0.2498)  1 Si 1.70
O (0.1665, 0.9795, 0.9123)  1 S 1.56
O (0.1808, 0.6602, 0.6441)  1 S 1.52
O (0.1824, 0.3249, 0.2637)  1 Si 1.57
O (0.1880, 0.0056, 0.3083)  1 S 1.53
O (0.1930, 0.3012, 0.5942)  1 S 1.48
O (0.1939, 0.6498, 0.9256)  1 S 1.47
O (0.1966, 0.6546, 0.5401)  1 S 1.47
O (0.1969, 0.9979, 0.5958)  1 S 1.49
O (0.2065, 0.3214, 0.8772)  1 S 1.45
O (0.2098, 0.9792, 0.2062)  1 S 1.45
O (0.2287, 0.3425, 0.9799)  1 S 1.49
O (0.2673, 0.8444, 0.4769)  1 S 1.47
O (0.2872, 0.4822, 0.7058)  1 S 1.44
O (0.2908, 0.8192, 0.3746)  1 S 1.46
O (0.2960, 0.5001, 0.0989)  1 S 1.47
O (0.3021, 0.8025, 0.0961)  1 S 1.47
O (0.3040, 0.1481, 0.4239)  1 S 1.46
O (0.3036, 0.1545, 0.0414)  1 S 1.46
O (0.3089, 0.5095, 0.8086)  1 S 1.52
O (0.3156, 0.8243, 0.7637)  1 Si 1.57
O (0.3185, 0.1606, 0.1453)  1 S 1.53
O (0.3297, 0.4801, 0.4114)  1 S 1.57
O (0.3428, 0.1337, 0.7481)  1 Si 1.68
O (0.3531, 0.9260, 0.9751)  1 S 1.47
O (0.3660, 0.7387, 0.5942)  1 S 1.50
O (0.3749, 0.0771, 0.2527)  1 S 1.52
O (0.3786, 0.5841, 0.5947)  1 S 1.46
O (0.3833, 0.3842, 0.1912)  1 Si 1.58
O (0.3869, 0.0569, 0.5403)  1 S 1.47
O (0.3876, 0.0608, 0.9253)  1 S 1.47
O (0.3886, 0.7189, 0.8761)  1 S 1.46
O (0.3928, 0.5727, 0.3072)  1 Si 1.76, 1 Ta 1.87
O (0.3950, 0.9274, 0.2693)  1 S 1.45
O (0.3967, 0.2445, 0.6460)  1 S 1.54
O (0.3974, 0.9320, 0.8721)  1 S 1.45
O (0.3981, 0.4105, 0.9147)  1 S 1.52
O (0.3984, 0.6033, 0.1930)  1 Si 1.58
O (0.4002, 0.7342, 0.2619)  1 Si 1.59
O (0.4076, 0.2574, 0.5418)  1 S 1.46
O (0.4080, 0.2585, 0.9272)  1 S 1.48
O (0.4090, 0.6958, 0.9789)  1 S 1.49
O (0.4132, 0.0562, 0.6440)  1 S 1.49
O (0.4195, 0.3825, 0.5968)  1 S 1.47
O (0.4252, 0.5777, 0.9144)  1 S 1.52
O (0.4259, 0.9238, 0.5917)  1 S 1.49
O (0.4335, 0.3968, 0.3058)  1 Si 1.75, 1 Ta 1.88
O (0.4368, 0.2450, 0.2482)  1 Si 1.74, 1 Ta 1.87
O (0.5617, 0.2465, 0.7502)  1 Si 1.72, 1 Ta 1.88
O (0.5643, 0.3975, 0.8070)  1 Si 1.76, 1 Ta 1.86
O (0.5647, 0.9276, 0.0950)  1 S 1.48
O (0.5725, 0.5789, 0.4116)  1 S 1.53
O (0.5758, 0.3787, 0.0985)  1 S 1.47
O (0.5814, 0.6004, 0.6991)  1 Si 1.56
O (0.5822, 0.6995, 0.4737)  1 S 1.48
O (0.5847, 0.2599, 0.4233)  1 S 1.48
O (0.5858, 0.0599, 0.1459)  1 S 1.52
O (0.5907, 0.2539, 0.0436)  1 S 1.46
O (0.5930, 0.5765, 0.0900)  1 Si 1.61
O (0.5976, 0.4119, 0.4112)  1 S 1.54
O (0.5997, 0.2415, 0.1472)  1 S 1.56
O (0.6029, 0.9287, 0.3691)  1 S 1.45
O (0.6046, 0.9271, 0.7715)  1 S 1.45
O (0.6060, 0.0589, 0.4207)  1 S 1.46
O (0.6062, 0.5731, 0.8113)  1 Si 1.75, 1 Ta 1.86
O (0.6069, 0.7457, 0.0977)  1 Si 1.65
O (0.6106, 0.0584, 0.0423)  1 S 1.46
O (0.6111, 0.7353, 0.7659)  1 Si 1.57
O (0.6119, 0.3842, 0.6919)  1 Si 1.58
O (0.6154, 0.7183, 0.3710)  1 S 1.46
O (0.6202, 0.0775, 0.7568)  1 S 1.51
O (0.6420, 0.9253, 0.4723)  1 S 1.46
O (0.6603, 0.1348, 0.2493)  1 Si 1.72, 1 Ta 1.88
O (0.6680, 0.4788, 0.9126)  1 S 1.56
O (0.6722, 0.1586, 0.6487)  1 Si 1.76, 1 Ta 1.90
O (0.6924, 0.5094, 0.3090)  1 S 1.51
O (0.6936, 0.8017, 0.5958)  1 S 1.47
O (0.6962, 0.1502, 0.9260)  1 S 1.48
O (0.6970, 0.4994, 0.5946)  1 S 1.48
O (0.6982, 0.1553, 0.5350)  1 Si 1.59
O (0.7068, 0.8235, 0.8767)  1 S 1.45
O (0.7078, 0.8293, 0.2666)  1 S 1.45
O (0.7165, 0.4843, 0.2063)  1 S 1.44
O (0.7351, 0.8435, 0.9793)  1 S 1.49
O (0.7638, 0.3442, 0.4766)  1 S 1.48
O (0.7828, 0.9820, 0.7071)  1 S 1.44
O (0.7885, 0.3214, 0.3742)  1 S 1.46
O (0.7989, 0.9940, 0.0977)  1 S 1.49
O (0.8032, 0.6509, 0.4248)  1 S 1.48
O (0.8055, 0.3013, 0.0960)  1 S 1.46
O (0.8081, 0.6601, 0.0385)  1 Si 1.58
O (0.8101, 0.0069, 0.8097)  1 S 1.53
O (0.8162, 0.3284, 0.7638)  1 Si 1.57
O (0.8240, 0.6594, 0.1506)  1 Si 1.80, 1 Ta 1.88
O (0.8299, 0.9773, 0.4102)  1 S 1.58
O (0.8365, 0.6348, 0.7484)  1 Si 1.74, 1 Ta 1.86
O (0.8558, 0.4262, 0.9745)  1 S 1.48
O (0.8838, 0.5784, 0.2550)  1 S 1.54
O (0.8860, 0.2175, 0.8729)  1 S 1.45
O (0.8871, 0.2455, 0.5974)  1 Si 1.66
O (0.8901, 0.8847, 0.2030)  1 S 1.46
O (0.8906, 0.2334, 0.2649)  1 Si 1.57
O (0.8923, 0.0710, 0.3113)  1 Si 1.76, 1 Ta 1.85
O (0.8920, 0.5584, 0.5410)  1 S 1.46
O (0.8919, 0.5590, 0.9223)  1 S 1.47
O (0.8962, 0.4284, 0.2695)  1 S 1.45
O (0.8962, 0.4284, 0.8713)  1 S 1.45
O (0.8999, 0.7421, 0.6464)  1 S 1.54
O (0.9005, 0.9120, 0.9140)  1 S 1.52
O (0.9059, 0.0768, 0.5915)  1 Si 1.61
O (0.9068, 0.7549, 0.5427)  1 S 1.46
O (0.9108, 0.5614, 0.6447)  1 S 1.51
O (0.9115, 0.7599, 0.9240)  1 S 1.48
O (0.9129, 0.0946, 0.2006)  1 Si 1.56
O (0.9157, 0.1976, 0.9757)  1 S 1.49
O (0.9228, 0.8791, 0.5977)  1 S 1.47
O (0.9265, 0.0777, 0.9132)  1 S 1.52
O (0.9292, 0.4286, 0.5950)  1 S 1.48
O (0.9326, 0.8874, 0.3064)  1 S 1.53
O (0.9370, 0.7545, 0.2543)  1 S 1.52

(2)
VASP calculation (PBE) on a geometry-optimized Ce2S3O16 structure.

Calculated values
Symmetry   P2_1/c
E_form   -1.613 eV/atom

Cell: 12.7402 7.7118 18.0240 Å, 90.00 134.25 90.00°
Closest atoms and distances in Å follow each position.
Fractional positions:
Ce (0.0792, 0.2239, 0.2318)  1 O 2.01
Ce (0.0792, 0.2761, 0.7318)  1 O 2.01
Ce (0.3922, 0.2143, 0.5700)  6 O 2.22-2.38
Ce (0.3922, 0.2857, 0.0700)  6 O 2.22-2.38
Ce (0.6078, 0.7143, 0.9300)  6 O 2.22-2.38
Ce (0.6078, 0.7857, 0.4300)  6 O 2.22-2.38
Ce (0.9208, 0.7239, 0.2682)  1 O 2.01
Ce (0.9208, 0.7761, 0.7682)  1 O 2.01
S (0.0180, 0.2047, 0.3784)  4 O 1.43-1.55
S (0.0180, 0.2953, 0.8784)  4 O 1.43-1.55
S (0.3012, 0.6424, 0.9096)  4 O 1.47-1.50
S (0.3012, 0.8576, 0.4096)  4 O 1.47-1.50
S (0.3282, 0.0785, 0.1936)  4 O 1.45-1.52
S (0.3282, 0.4215, 0.6936)  4 O 1.45-1.52
S (0.6718, 0.5785, 0.3064)  4 O 1.45-1.52
S (0.6718, 0.9215, 0.8064)  4 O 1.45-1.52
S (0.6988, 0.1424, 0.5904)  4 O 1.47-1.50
S (0.6988, 0.3577, 0.0904)  4 O 1.47-1.50
S (0.9820, 0.7047, 0.1216)  4 O 1.43-1.55
S (0.9820, 0.7953, 0.6216)  4 O 1.43-1.55
O (0.0014, 0.0640, 0.3122)  1 S 1.51
O (0.0014, 0.4360, 0.8122)  1 S 1.51
O (0.0344, 0.7387, 0.9181)  1 Ce 2.01
O (0.0344, 0.7613, 0.4181)  1 Ce 2.01
O (0.0493, 0.1303, 0.8470)  1 S 1.55
O (0.0493, 0.3697, 0.3470)  1 S 1.55
O (0.1091, 0.7322, 0.1396)  1 S 1.43
O (0.1091, 0.7678, 0.6396)  1 S 1.43
O (0.1539, 0.1674, 0.4896)  1 S 1.50
O (0.1539, 0.3326, 0.9896)  1 S 1.50
O (0.1886, 0.7345, 0.3791)  1 S 1.47
O (0.1886, 0.7655, 0.8791)  1 S 1.47
O (0.2231, 0.1683, 0.1932)  1 S 1.50
O (0.2231, 0.3317, 0.6932)  1 S 1.50
O (0.2402, 0.5116, 0.8289)  1 S 1.47
O (0.2402, 0.9884, 0.3289)  1 S 1.47
O (0.2577, 0.5048, 0.5959)  1 S 1.45
O (0.2577, 0.9952, 0.0959)  1 S 1.45
O (0.2679, 0.1945, 0.9105)  1 O 2.20, 2 Ce 2.22-2.40
O (0.2679, 0.3055, 0.4105)  1 O 2.20, 2 Ce 2.22-2.40
O (0.3645, 0.5540, 0.0075)  1 S 1.50
O (0.3645, 0.9460, 0.5075)  1 S 1.50
O (0.4004, 0.0344, 0.8211)  1 O 1.24
O (0.4004, 0.4656, 0.3211)  1 O 1.24
O (0.4190, 0.5411, 0.7837)  1 S 1.48
O (0.4190, 0.9589, 0.2837)  1 S 1.48
O (0.4215, 0.7343, 0.9297)  1 S 1.49
O (0.4215, 0.7657, 0.4297)  1 S 1.49
O (0.4282, 0.2186, 0.2116)  1 S 1.52
O (0.4282, 0.2814, 0.7116)  1 S 1.52
O (0.4800, 0.5789, 0.5937)  1 O 1.24
O (0.4800, 0.9211, 0.0937)  1 O 1.24
O (0.5200, 0.0789, 0.9063)  1 O 1.24
O (0.5200, 0.4211, 0.4063)  1 O 1.24
O (0.5718, 0.7186, 0.2884)  1 S 1.52
O (0.5718, 0.7814, 0.7884)  1 S 1.52
O (0.5785, 0.2343, 0.5703)  1 S 1.49
O (0.5785, 0.2657, 0.0703)  1 S 1.49
O (0.5810, 0.0411, 0.7163)  1 S 1.48
O (0.5810, 0.4589, 0.2163)  1 S 1.48
O (0.5996, 0.5344, 0.6789)  1 O 1.24
O (0.5996, 0.9656, 0.1789)  1 O 1.24
O (0.6355, 0.0540, 0.4925)  1 S 1.50
O (0.6355, 0.4460, 0.9925)  1 S 1.50
O (0.7321, 0.6945, 0.5895)  1 O 2.20, 2 Ce 2.22-2.40
O (0.7321, 0.8055, 0.0895)  1 O 2.20, 2 Ce 2.22-2.40
O (0.7423, 0.0048, 0.9041)  1 S 1.45
O (0.7423, 0.4952, 0.4041)  1 S 1.45
O (0.7598, 0.0116, 0.6711)  1 S 1.47
O (0.7598, 0.4884, 0.1711)  1 S 1.47
O (0.7769, 0.6683, 0.3068)  1 S 1.50
O (0.7769, 0.8317, 0.8068)  1 S 1.50
O (0.8114, 0.2345, 0.1209)  1 S 1.47
O (0.8114, 0.2655, 0.6209)  1 S 1.47
O (0.8461, 0.6674, 0.0104)  1 S 1.50
O (0.8461, 0.8326, 0.5104)  1 S 1.50
O (0.8909, 0.2322, 0.3604)  1 S 1.43
O (0.8909, 0.2678, 0.8604)  1 S 1.43
O (0.9507, 0.6303, 0.6530)  1 S 1.55
O (0.9507, 0.8697, 0.1530)  1 S 1.55
O (0.9656, 0.2387, 0.5819)  1 Ce 2.01
O (0.9656, 0.2613, 0.0819)  1 Ce 2.01
O (0.9986, 0.5640, 0.1878)  1 S 1.51
O (0.9986, 0.9360, 0.6878)  1 S 1.51

Number 1: energy with MP2020 corrections -7.16 eV/atom, volume 15.34 Å³/atom. Number 2: energy with MP2020 corrections -6.54 eV/atom, volume 15.10 Å³/atom.